(1)
DyNi4As2 | PBE | relaxed

a b c (Å): 7.247 7.247 3.769
angles (deg): 90.00 90.00 90.00
Element x y z (fractional)
1 Dy 0.000 0.000 0.000
2 Dy 0.500 0.500 0.500
3 Ni 0.088 0.346 0.500
4 Ni 0.154 0.588 0.000
5 Ni 0.346 0.088 0.500
6 Ni 0.412 0.846 0.000
7 Ni 0.588 0.154 0.000
8 Ni 0.654 0.912 0.500
9 Ni 0.846 0.412 0.000
10 Ni 0.912 0.654 0.500
11 As 0.218 0.782 0.500
12 As 0.282 0.282 0.000
13 As 0.718 0.718 0.000
14 As 0.782 0.218 0.500

Computed properties:
E_form: -14.5 kcal/mol of atoms
crystal system: tetragonal
total energy: -5.9220 eV per atom



(2)
LaRh | PBE | relaxed

a b c (Å): 5.997 5.997 4.274
angles (deg): 90.00 90.00 141.39
Element x y z (fractional)
1 La 0.139 0.861 0.750
2 La 0.861 0.139 0.250
3 Rh 0.412 0.588 0.750
4 Rh 0.588 0.412 0.250

Computed properties:
E_form: -17.1 kcal/mol of atoms
crystal system: orthorhombic
total energy: -6.8900 eV per atom



Copy entry 1 word for word.
DyNi4As2 | PBE | relaxed

a b c (Å): 7.247 7.247 3.769
angles (deg): 90.00 90.00 90.00
Element x y z (fractional)
1 Dy 0.000 0.000 0.000
2 Dy 0.500 0.500 0.500
3 Ni 0.088 0.346 0.500
4 Ni 0.154 0.588 0.000
5 Ni 0.346 0.088 0.500
6 Ni 0.412 0.846 0.000
7 Ni 0.588 0.154 0.000
8 Ni 0.654 0.912 0.500
9 Ni 0.846 0.412 0.000
10 Ni 0.912 0.654 0.500
11 As 0.218 0.782 0.500
12 As 0.282 0.282 0.000
13 As 0.718 0.718 0.000
14 As 0.782 0.218 0.500

Computed properties:
E_form: -14.5 kcal/mol of atoms
crystal system: tetragonal
total energy: -5.9220 eV per atom



Which of these has the highest total energy?
DyNi4As2